1.
Entry from Materials Project: a relaxed structure of Y3CuSnSe7 (GGA-PBE).

The structure belongs to space group P6_3 (No. 173); the cell edges are 10.2567, 10.2567 and 6.5361 Å and the angles 90.00°, 90.00° and 120.00°. Symmetry generates all atoms from Y at (0.1544, 0.3574, 0.0000), Cu at (0.0000, 0.0000, 0.3964), Sn at (0.3333, 0.6667, 0.5694), Se at (0.0781, 0.5562, 0.7520), Se at (0.1181, 0.2646, 0.4253) and Se at (0.3333, 0.6667, 0.1772).

As for the energy relative to the elements: -148.5 kJ per mole of atoms. As for the volume: 297.7 Å³/f.u.

2.
Entry from Materials Project: a relaxed structure of ZnCu4Sn2Se8 (GGA-PBE).

The structure belongs to space group C2 (No. 5); the cell edges are 12.707, 5.708 and 11.403 Å and the angles 90.00°, 116.57° and 90.00°. Symmetry generates all atoms from Zn at (0.000, 0.000, 0.000), Cu at (0.246, 0.491, 0.619), Cu at (0.247, 0.010, 0.870), Sn at (0.000, 0.502, 0.258), Se at (0.131, 0.766, 0.449), Se at (0.132, 0.233, 0.683), Se at (0.135, 0.243, 0.189) and Se at (0.135, 0.761, 0.945).

As for the energy relative to the elements: -53.0 kJ per mole of atoms. As for the volume: 369.9 Å³/f.u.